Entry 1:
Material: Be22Mo
Method: DFT, r2SCAN
State: optimized geometry

abc: 8.1839 8.1839 8.1838
angles: 60.00 60.00 60.00
Last column: nearest neighbours and their distance in Å.
Element x y z (fractional)
Be (0.0000, 0.0000, 0.0000)  12 Be 2.05-2.26
Be (0.0000, 0.0000, 0.5000)  12 Be 2.05-2.26
Be (0.5000, 0.0000, 0.0000)  12 Be 2.05-2.26
Be (0.0000, 0.5000, 0.0000)  12 Be 2.05-2.26
Be (0.5000, 0.5000, 0.5000)  12 Be 2.46, 2 Mo 2.51
Be (0.5000, 0.5000, 0.0000)  12 Be 2.46, 2 Mo 2.51
Be (0.0000, 0.5000, 0.5000)  12 Be 2.46, 2 Mo 2.51
Be (0.5000, 0.0000, 0.5000)  12 Be 2.46, 2 Mo 2.51
Be (0.7403, 0.0097, 0.0098)  12 Be 2.05-2.29
Be (0.9902, 0.9902, 0.2598)  12 Be 2.05-2.29
Be (0.2598, 0.2598, 0.9902)  12 Be 2.05-2.29
Be (0.9903, 0.2597, 0.2598)  12 Be 2.05-2.29
Be (0.9903, 0.2597, 0.9902)  12 Be 2.05-2.29
Be (0.2597, 0.9903, 0.2598)  12 Be 2.05-2.29
Be (0.0097, 0.7403, 0.0098)  12 Be 2.05-2.29
Be (0.0098, 0.0098, 0.7402)  12 Be 2.05-2.29
Be (0.7402, 0.7402, 0.0098)  12 Be 2.05-2.29
Be (0.7403, 0.0097, 0.7402)  12 Be 2.05-2.29
Be (0.2597, 0.9903, 0.9902)  12 Be 2.05-2.29
Be (0.0097, 0.7403, 0.7402)  12 Be 2.05-2.29
Be (0.1761, 0.1761, 0.7044)  9 Be 2.14-2.35
Be (0.8239, 0.2956, 0.5566)  9 Be 2.14-2.35
Be (0.5566, 0.8239, 0.8239)  9 Be 2.14-2.35
Be (0.8239, 0.5566, 0.8239)  9 Be 2.14-2.35
Be (0.2956, 0.8239, 0.5566)  9 Be 2.14-2.35
Be (0.2956, 0.5566, 0.8239)  9 Be 2.14-2.35
Be (0.5566, 0.2956, 0.8239)  9 Be 2.14-2.35
Be (0.7044, 0.1761, 0.1761)  9 Be 2.14-2.35
Be (0.1761, 0.7044, 0.1761)  9 Be 2.14-2.35
Be (0.4434, 0.1761, 0.7044)  9 Be 2.14-2.35
Be (0.1761, 0.4434, 0.7044)  9 Be 2.14-2.35
Be (0.4434, 0.1761, 0.1761)  9 Be 2.14-2.35
Be (0.7044, 0.1761, 0.4434)  9 Be 2.14-2.35
Be (0.1761, 0.7044, 0.4434)  9 Be 2.14-2.35
Be (0.1761, 0.4434, 0.1761)  9 Be 2.14-2.35
Be (0.5566, 0.8239, 0.2956)  9 Be 2.14-2.35
Be (0.8239, 0.5566, 0.2956)  9 Be 2.14-2.35
Be (0.8239, 0.8239, 0.5566)  9 Be 2.14-2.35
Be (0.8239, 0.8239, 0.2956)  9 Be 2.14-2.35
Be (0.2956, 0.8239, 0.8239)  9 Be 2.14-2.35
Be (0.8239, 0.2956, 0.8239)  9 Be 2.14-2.35
Be (0.7044, 0.4434, 0.1761)  9 Be 2.14-2.35
Be (0.4434, 0.7044, 0.1761)  9 Be 2.14-2.35
Be (0.1761, 0.1761, 0.4434)  9 Be 2.14-2.35
Mo (0.3750, 0.3750, 0.3750)  16 Be 2.51-2.54
Mo (0.6250, 0.6250, 0.6250)  16 Be 2.51-2.54

* density: 2.5 Mg/m³
* E_tot: -5.337 eV per atom
* total moment: 0.00 μB per formula unit
* formation energy from the elements: -0.054 eV/atom

---

Entry 2:
Material: TaBe4Mo
Method: DFT, r2SCAN
State: optimized geometry

abc: 4.5355 4.5355 7.3825
angles: 90.00 90.00 120.00
Last column: nearest neighbours and their distance in Å.
Element x y z (fractional)
Ta (0.3333, 0.6667, 0.9290)  12 Be 2.64-2.71, 1 Mo 2.73, 3 Ta 2.82
Ta (0.6667, 0.3333, 0.0710)  12 Be 2.64-2.71, 1 Mo 2.73, 3 Ta 2.82
Be (0.0000, 0.0000, 0.5000)  6 Be 2.26
Be (0.0000, 0.0000, 0.0000)  6 Be 2.30
Be (0.6578, 0.8289, 0.2534)  6 Be 2.21-2.33
Be (0.1711, 0.8289, 0.2534)  6 Be 2.21-2.33
Be (0.1711, 0.3422, 0.2534)  6 Be 2.21-2.33
Be (0.3422, 0.1711, 0.7466)  6 Be 2.21-2.33
Be (0.8289, 0.1711, 0.7466)  6 Be 2.21-2.33
Be (0.8289, 0.6578, 0.7466)  6 Be 2.21-2.33
Mo (0.6667, 0.3333, 0.4402)  12 Be 2.60-2.66, 1 Ta 2.73, 3 Mo 2.76
Mo (0.3333, 0.6667, 0.5598)  12 Be 2.60-2.66, 1 Ta 2.73, 3 Mo 2.76

* density: 7.9 Mg/m³
* E_tot: -15.622 eV per atom
* total moment: 0.00 μB per formula unit
* formation energy from the elements: -0.286 eV/atom

---

Entry 3:
Material: Na2BeSiO4
Method: DFT, r2SCAN
State: optimized geometry

abc: 4.9349 7.0103 9.8886
angles: 90.01 90.00 90.00
Last column: nearest neighbours and their distance in Å.
Element x y z (fractional)
Na (0.2914, 0.0020, 0.6096)  4 O 2.30-2.38
Na (0.8169, 0.2657, 0.6408)  4 O 2.29-2.50
Na (0.3169, 0.7343, 0.8592)  4 O 2.29-2.50
Na (0.1831, 0.7343, 0.3592)  4 O 2.29-2.50
Na (0.6831, 0.2657, 0.1408)  4 O 2.29-2.50
Na (0.7914, 0.9980, 0.8904)  4 O 2.30-2.38
Na (0.2086, 0.0020, 0.1096)  4 O 2.30-2.38
Na (0.7086, 0.9980, 0.3904)  4 O 2.30-2.38
Be (0.6585, 0.4987, 0.4122)  4 O 1.60-1.67
Be (0.1585, 0.5013, 0.0878)  4 O 1.60-1.67
Be (0.3415, 0.5013, 0.5878)  4 O 1.60-1.67
Be (0.8415, 0.4987, 0.9122)  4 O 1.60-1.67
Si (0.6561, 0.7234, 0.1578)  4 O 1.61-1.65
Si (0.8439, 0.7234, 0.6578)  4 O 1.61-1.65
Si (0.3439, 0.2766, 0.8422)  4 O 1.61-1.65
Si (0.1561, 0.2766, 0.3422)  4 O 1.61-1.65
O (0.6677, 0.5624, 0.5746)  1 Si 1.65, 2 Be 1.67
O (0.6633, 0.3133, 0.8796)  1 Be 1.60, 1 Si 1.64
O (0.1633, 0.6867, 0.6204)  1 Be 1.60, 1 Si 1.64
O (0.3367, 0.6867, 0.1204)  1 Be 1.60, 1 Si 1.64
O (0.8367, 0.3133, 0.3796)  1 Be 1.60, 1 Si 1.64
O (0.7358, 0.9416, 0.1245)  1 Si 1.61
O (0.1677, 0.4376, 0.9254)  1 Si 1.65, 2 Be 1.67
O (0.3323, 0.4376, 0.4254)  1 Si 1.65, 2 Be 1.67
O (0.8323, 0.5624, 0.0746)  1 Si 1.65, 2 Be 1.67
O (0.7933, 0.6828, 0.8192)  1 Be 1.60, 1 Si 1.64
O (0.2933, 0.3172, 0.6808)  1 Be 1.60, 1 Si 1.64
O (0.2067, 0.3172, 0.1808)  1 Be 1.60, 1 Si 1.64
O (0.2642, 0.0584, 0.8755)  1 Si 1.61
O (0.2358, 0.0584, 0.3755)  1 Si 1.61
O (0.7642, 0.9416, 0.6245)  1 Si 1.61
O (0.7067, 0.6828, 0.3192)  1 Be 1.60, 1 Si 1.64

* density: 2.9 Mg/m³
* E_tot: -8.220 eV per atom
* total moment: 0.00 μB per formula unit
* formation energy from the elements: -2.704 eV/atom

---

Entry 4:
Material: Be12Nb
Method: DFT, r2SCAN
State: optimized geometry

abc: 4.2006 5.5999 5.5999
angles: 81.88 67.94 67.94
Last column: nearest neighbours and their distance in Å.
Element x y z (fractional)
Be (0.5000, 0.7823, 0.2177)  10 Be 2.13-2.34
Be (0.3515, 0.6479, 0.6479)  9 Be 2.17-2.34
Be (0.0000, 0.3526, 0.6474)  9 Be 2.16-2.34
Be (0.0000, 0.6474, 0.3526)  9 Be 2.16-2.34
Be (0.7178, 0.7828, 0.7828)  10 Be 2.13-2.34
Be (0.5000, 0.0000, 0.5000)  10 Be 2.10-2.24
Be (0.5000, 0.2177, 0.7823)  10 Be 2.13-2.34
Be (0.6485, 0.3521, 0.3521)  9 Be 2.17-2.34
Be (0.2822, 0.2172, 0.2172)  10 Be 2.13-2.34
Be (0.5000, 0.5000, 0.0000)  10 Be 2.10-2.24
Be (0.0000, 0.5000, 0.0000)  10 Be 2.10-2.25
Be (0.0000, 0.0000, 0.5000)  10 Be 2.10-2.25
Nb (0.0000, 0.0000, 0.0000)  20 Be 2.58-2.80

* density: 3.0 Mg/m³
* E_tot: -6.067 eV per atom
* total moment: 0.00 μB per formula unit
* formation energy from the elements: -0.160 eV/atom

---

Entry 5:
Material: Be2Nb3
Method: DFT, r2SCAN
State: optimized geometry

abc: 3.3739 6.5316 6.5316
angles: 90.00 90.00 90.00
Last column: nearest neighbours and their distance in Å.
Element x y z (fractional)
Be (0.0000, 0.3869, 0.8869)  1 Be 2.09
Be (0.0000, 0.1131, 0.3869)  1 Be 2.09
Be (0.0000, 0.8869, 0.6131)  1 Be 2.09
Be (0.0000, 0.6131, 0.1131)  1 Be 2.09
Nb (0.0000, 0.0000, 0.0000)  4 Be 2.63, 8 Nb 2.93
Nb (0.0000, 0.5000, 0.5000)  4 Be 2.63, 8 Nb 2.93
Nb (0.5000, 0.1796, 0.6796)  6 Be 2.55-2.59
Nb (0.5000, 0.3204, 0.1796)  6 Be 2.55-2.59
Nb (0.5000, 0.6796, 0.8204)  6 Be 2.55-2.59
Nb (0.5000, 0.8204, 0.3204)  6 Be 2.55-2.59

* density: 6.8 Mg/m³
* E_tot: -16.727 eV per atom
* total moment: 0.00 μB per formula unit
* formation energy from the elements: -0.152 eV/atom

---

Entry 6:
Material: Be2NiRh
Method: DFT, r2SCAN
State: optimized geometry

abc: 3.7931 3.7931 3.7931
angles: 60.00 60.00 60.00
Last column: nearest neighbours and their distance in Å.
Element x y z (fractional)
Be (0.5000, 0.5000, 0.5000)  4 Rh 2.32, 4 Ni 2.32
Be (0.0000, 0.0000, 0.0000)  4 Ni 2.32, 4 Rh 2.32
Ni (0.2500, 0.2500, 0.2500)  8 Be 2.32
Rh (0.7500, 0.7500, 0.7500)  8 Be 2.32

* density: 7.7 Mg/m³
* E_tot: -11.802 eV per atom
* total moment: 0.00 μB per formula unit
* formation energy from the elements: -0.603 eV/atom

---

Entry 7:
Material: Ta6Be15Ni8
Method: DFT, r2SCAN
State: optimized geometry

abc: 7.5188 7.5188 7.5188
angles: 60.00 60.00 60.00
Last column: nearest neighbours and their distance in Å.
Element x y z (fractional)
Ta (0.7034, 0.2966, 0.2966)  4 Ni 2.61, 8 Be 2.63-2.70
Ta (0.2966, 0.7034, 0.7034)  4 Ni 2.61, 8 Be 2.63-2.70
Ta (0.2966, 0.7034, 0.2966)  4 Ni 2.61, 8 Be 2.63-2.70
Ta (0.7034, 0.2966, 0.7034)  4 Ni 2.61, 8 Be 2.63-2.70
Ta (0.2966, 0.2966, 0.7034)  4 Ni 2.61, 8 Be 2.63-2.70
Ta (0.7034, 0.7034, 0.2966)  4 Ni 2.61, 8 Be 2.63-2.70
Be (0.3266, 0.3266, 0.3266)  6 Be 2.17-2.31, 3 Ni 2.31
Be (0.6734, 0.6734, 0.6734)  6 Be 2.17-2.31, 3 Ni 2.31
Be (0.3266, 0.3266, 0.0201)  6 Be 2.17-2.31, 3 Ni 2.31
Be (0.3266, 0.0201, 0.3266)  6 Be 2.17-2.31, 3 Ni 2.31
Be (0.6734, 0.6734, 0.9799)  6 Be 2.17-2.31, 3 Ni 2.31
Be (0.6734, 0.9799, 0.6734)  6 Be 2.17-2.31, 3 Ni 2.31
Be (0.0201, 0.3266, 0.3266)  6 Be 2.17-2.31, 3 Ni 2.31
Be (0.9799, 0.6734, 0.6734)  6 Be 2.17-2.31, 3 Ni 2.31
Be (0.5000, 0.0000, 0.0000)  4 Be 2.17, 4 Ni 2.32
Be (0.0000, 0.5000, 0.5000)  4 Be 2.17, 4 Ni 2.32
Be (0.0000, 0.5000, 0.0000)  4 Be 2.17, 4 Ni 2.32
Be (0.5000, 0.0000, 0.5000)  4 Be 2.17, 4 Ni 2.32
Be (0.0000, 0.0000, 0.5000)  4 Be 2.17, 4 Ni 2.32
Be (0.5000, 0.5000, 0.0000)  4 Be 2.17, 4 Ni 2.32
Be (0.0000, 0.0000, 0.0000)  8 Ni 2.25
Ni (0.1222, 0.1222, 0.1222)  7 Be 2.25-2.32
Ni (0.8778, 0.8778, 0.8778)  7 Be 2.25-2.32
Ni (0.1222, 0.1222, 0.6333)  7 Be 2.25-2.32
Ni (0.1222, 0.6333, 0.1222)  7 Be 2.25-2.32
Ni (0.8778, 0.8778, 0.3667)  7 Be 2.25-2.32
Ni (0.8778, 0.3667, 0.8778)  7 Be 2.25-2.32
Ni (0.6333, 0.1222, 0.1222)  7 Be 2.25-2.32
Ni (0.3667, 0.8778, 0.8778)  7 Be 2.25-2.32

* density: 9.3 Mg/m³
* E_tot: -16.024 eV per atom
* total moment: 0.00 μB per formula unit
* formation energy from the elements: -0.422 eV/atom

---

Entry 8:
Material: Zr6Be15Ni8
Method: DFT, r2SCAN
State: optimized geometry

abc: 7.7911 7.7911 7.7911
angles: 60.00 60.00 60.00
Last column: nearest neighbours and their distance in Å.
Element x y z (fractional)
Zr (0.7125, 0.2875, 0.2875)  4 Ni 2.64, 8 Be 2.79
Zr (0.2875, 0.7125, 0.7125)  4 Ni 2.64, 8 Be 2.79
Zr (0.2875, 0.7125, 0.2875)  4 Ni 2.64, 8 Be 2.79
Zr (0.7125, 0.2875, 0.7125)  4 Ni 2.64, 8 Be 2.79
Zr (0.2875, 0.2875, 0.7125)  4 Ni 2.64, 8 Be 2.79
Zr (0.7125, 0.7125, 0.2875)  4 Ni 2.64, 8 Be 2.79
Be (0.3225, 0.3225, 0.3225)  6 Be 2.26, 3 Ni 2.34
Be (0.6775, 0.6775, 0.6775)  6 Be 2.26, 3 Ni 2.34
Be (0.3225, 0.3225, 0.0325)  6 Be 2.26, 3 Ni 2.34
Be (0.3225, 0.0325, 0.3225)  6 Be 2.26, 3 Ni 2.34
Be (0.6775, 0.6775, 0.9675)  6 Be 2.26, 3 Ni 2.34
Be (0.6775, 0.9675, 0.6775)  6 Be 2.26, 3 Ni 2.34
Be (0.0325, 0.3225, 0.3225)  6 Be 2.26, 3 Ni 2.34
Be (0.9675, 0.6775, 0.6775)  6 Be 2.26, 3 Ni 2.34
Be (0.5000, 0.0000, 0.0000)  4 Be 2.26, 4 Ni 2.39
Be (0.0000, 0.5000, 0.5000)  4 Be 2.26, 4 Ni 2.39
Be (0.0000, 0.5000, 0.0000)  4 Be 2.26, 4 Ni 2.39
Be (0.5000, 0.0000, 0.5000)  4 Be 2.26, 4 Ni 2.39
Be (0.0000, 0.0000, 0.5000)  4 Be 2.26, 4 Ni 2.39
Be (0.5000, 0.5000, 0.0000)  4 Be 2.26, 4 Ni 2.39
Be (0.0000, 0.0000, 0.0000)  8 Ni 2.37
Ni (0.1243, 0.1243, 0.1243)  7 Be 2.34-2.39
Ni (0.8757, 0.8757, 0.8757)  7 Be 2.34-2.39
Ni (0.1243, 0.1243, 0.6271)  7 Be 2.34-2.39
Ni (0.1243, 0.6271, 0.1243)  7 Be 2.34-2.39
Ni (0.8757, 0.8757, 0.3729)  7 Be 2.34-2.39
Ni (0.8757, 0.3729, 0.8757)  7 Be 2.34-2.39
Ni (0.6271, 0.1243, 0.1243)  7 Be 2.34-2.39
Ni (0.3729, 0.8757, 0.8757)  7 Be 2.34-2.39

* density: 5.7 Mg/m³
* E_tot: -10.658 eV per atom
* total moment: 0.00 μB per formula unit
* formation energy from the elements: -0.402 eV/atom